[1]
VASP calculation (PBE) on a relaxed NaYSi crystal.

Computed properties:
The energy of formation from the pure elements is 0.210 eV/atom. As for the crystal system: cubic. For the calculated volume, the calculation gives 27.02 Å³/atom. The density comes out at 2.87 g/cm³. For the calculated total energy, the calculation gives -12.656 eV/cell. The magnetic moment comes out at 0.000 μB/f.u.

Lattice parameters (Å, degrees): 4.8580 4.8580 4.8580 60.00 60.00 60.00
Closest atoms and distances in Å follow each position.
Fractional coordinates of all 3 atoms:
Na 0.0000 0.0000 0.0000  4 Y 2.97
Y 0.2500 0.2500 0.2500  4 Si 2.97, 4 Na 2.97
Si 0.5000 0.5000 0.5000  4 Y 2.97

=====

[2]
VASP calculation (PBE) on a relaxed NaSmTe2 crystal.

Computed properties:
The energy of formation from the pure elements is -1.536 eV/atom. As for the crystal system: trigonal. For the calculated volume, the calculation gives 33.35 Å³/atom. The density comes out at 5.34 g/cm³. For the calculated total energy, the calculation gives -17.627 eV/cell.

Lattice parameters (Å, degrees): 7.9980 7.9980 7.9980 32.78 32.78 32.78
Closest atoms and distances in Å follow each position.
Fractional coordinates of all 4 atoms:
Na 0.0000 0.0000 0.0000  6 Te 3.28
Sm 0.5000 0.5000 0.5000  6 Te 3.16
Te 0.2452 0.2452 0.2452  3 Sm 3.16, 3 Na 3.28
Te 0.7548 0.7548 0.7548  3 Sm 3.16, 3 Na 3.28

=====

Among the records above, which one has the highest energy of formation from the pure elements?
NaYSi

=====

Which value of energy of formation from the pure elements does entry 1 give?
0.210 eV/atom